Entry 1:
First-principles (PBE+U) data for a geometry-optimized LiMn2O4 structure, as listed in Materials Project.

Properties
Energy (eV per atom): -6.8969
Spin magnetization (μB/atom): 1.0000
E_form (eV per atom): -2.048

a b c (Å): 8.7063 13.1042 13.2036
angles (deg): 83.75 70.73 70.60
Fractional positions:
Li: 0.7886 0.7502 0.4198
Li: 0.4629 0.7495 0.0795
Li: 0.2051 0.9156 0.9131
Li: 0.7951 0.0824 0.0852
Li: 0.8826 0.9163 0.5864
Li: 0.2069 0.5859 0.2498
Li: 0.4579 0.0857 0.7496
Li: 0.8766 0.2510 0.2512
Li: 0.5421 0.2506 0.9188
Li: 0.7928 0.4132 0.7507
Li: 0.5444 0.9132 0.2508
Li: 0.1163 0.4164 0.0859
Li: 0.4670 0.4158 0.4139
Li: 0.2095 0.2496 0.5809
Li: 0.8846 0.5829 0.9139
Li: 0.5367 0.5834 0.5864
Li: 0.1230 0.7503 0.7505
Li: 0.1180 0.0827 0.4147
Mn: 0.8287 0.3344 0.4972
Mn: 0.9955 0.1687 0.8349
Mn: 0.1682 0.8307 0.3335
Mn: 0.6722 0.5022 0.1645
Mn: 0.1629 0.1663 0.0032
Mn: 0.1674 0.9973 0.1663
Mn: 0.5031 0.6688 0.3360
Mn: 0.1682 0.6667 0.5047
Mn: 0.5053 0.1657 0.3309
Mn: 0.1693 0.3309 0.8340
Mn: 0.0018 0.8312 0.1657
Mn: 0.8417 0.8341 0.9955
Mn: 0.6754 0.1649 0.4968
Mn: 0.3308 0.4980 0.8340
Mn: 0.5048 0.3321 0.1683
Mn: 0.8371 0.3340 0.0041
Mn: 0.3245 0.8343 0.5052
Mn: 0.9983 0.4998 0.4996
Mn: 0.8252 0.5022 0.3358
Mn: 0.8386 0.6662 0.6695
Mn: 0.3254 0.1666 0.1691
Mn: 0.1608 0.3319 0.3307
Mn: 0.4962 0.8321 0.6684
Mn: 0.5003 0.5006 0.0006
Mn: 0.6780 0.8311 0.8306
Mn: 0.5033 0.9995 0.9988
Mn: 0.4997 0.0003 0.5007
Mn: 0.5000 0.6657 0.8312
Mn: 0.1687 0.4975 0.6672
Mn: 0.1628 0.0023 0.6656
Mn: 0.8291 0.6689 0.1647
Mn: 0.1639 0.6655 0.9948
Mn: 0.8389 0.9978 0.3344
Mn: 0.8356 0.1693 0.6663
Mn: 0.5007 0.3311 0.6660
Mn: 0.8368 0.0023 0.8347
O: 0.5489 0.1688 0.1720
O: 0.3925 0.0068 0.1591
O: 0.7629 0.8236 0.1502
O: 0.2417 0.8439 0.1729
O: 0.2471 0.5092 0.9882
O: 0.0668 0.8243 0.0053
O: 0.7627 0.1573 0.8279
O: 0.7565 0.0083 0.4888
O: 0.7612 0.3248 0.6517
O: 0.6142 0.8406 0.9881
O: 0.4246 0.3228 0.3222
O: 0.8881 0.5107 0.1777
O: 0.6051 0.0061 0.3410
O: 0.9260 0.0107 0.6770
O: 0.7647 0.9907 0.9891
O: 0.9350 0.1762 0.0010
O: 0.6100 0.6694 0.6721
O: 0.0533 0.4944 0.3410
O: 0.9410 0.5066 0.6597
O: 0.2363 0.0102 0.0123
O: 0.0716 0.3239 0.9960
O: 0.8980 0.3468 0.3434
O: 0.7584 0.1531 0.3416
O: 0.4526 0.4961 0.1588
O: 0.7548 0.4905 0.4899
O: 0.3904 0.1591 0.0108
O: 0.5915 0.1741 0.6516
O: 0.7533 0.8212 0.6752
O: 0.9382 0.9921 0.1766
O: 0.5498 0.5057 0.8412
O: 0.2503 0.6738 0.3493
O: 0.5464 0.8408 0.5115
O: 0.4147 0.3427 0.8244
O: 0.5997 0.6565 0.1671
O: 0.3837 0.6773 0.5063
O: 0.6022 0.3406 0.0116
O: 0.3977 0.6592 0.9902
O: 0.0745 0.6573 0.6615
O: 0.7557 0.4899 0.0105
O: 0.2442 0.8455 0.6587
O: 0.0646 0.0109 0.8237
O: 0.2340 0.1743 0.8495
O: 0.1063 0.1570 0.1606
O: 0.4547 0.1590 0.4900
O: 0.9358 0.6776 0.9962
O: 0.2517 0.6538 0.8401
O: 0.9397 0.6592 0.5108
O: 0.9201 0.8418 0.3236
O: 0.1088 0.8242 0.4960
O: 0.6010 0.5111 0.3229
O: 0.4126 0.8236 0.3504
O: 0.0758 0.6732 0.1514
O: 0.1127 0.4894 0.8240
O: 0.7440 0.6568 0.3335
O: 0.2406 0.5106 0.5131
O: 0.9156 0.3237 0.8493
O: 0.0570 0.3411 0.4891
O: 0.7529 0.6714 0.8225
O: 0.6051 0.3236 0.5054
O: 0.2451 0.9907 0.5111
O: 0.0759 0.9887 0.3236
O: 0.9128 0.8470 0.8422
O: 0.8904 0.1764 0.5031
O: 0.2517 0.1727 0.3220
O: 0.4331 0.8230 0.8225
O: 0.7527 0.3452 0.1580
O: 0.3939 0.4919 0.6765
O: 0.2523 0.3217 0.1747
O: 0.3952 0.9947 0.6593
O: 0.0832 0.1565 0.6721
O: 0.2409 0.3445 0.6739
O: 0.6121 0.9940 0.8404

***

Entry 2:
First-principles (PBE+U) data for a geometry-optimized Li5Mn2Cu5O12 structure, as listed in Materials Project.

Properties
Energy (eV per atom): -5.5729
Spin magnetization (μB/atom): 0.3331
E_form (eV per atom): -1.566

a b c (Å): 5.0498 5.0498 9.6241
angles (deg): 88.89 88.89 114.10
Fractional positions:
Li: 0.8380 0.6699 0.2563
Li: 0.6748 0.8493 0.7436
Li: 0.3301 0.1620 0.7437
Li: 0.1507 0.3252 0.2564
Li: 0.0845 0.9155 0.5000
Mn: 0.7539 0.2461 0.5000
Mn: 0.2519 0.7481 0.0000
Cu: 0.9197 0.0803 0.0000
Cu: 0.0033 0.5085 0.7471
Cu: 0.4915 0.9967 0.2529
Cu: 0.5826 0.4174 0.0000
Cu: 0.4152 0.5848 0.5000
O: 0.0088 0.2050 0.6334
O: 0.7950 0.9912 0.3666
O: 0.9233 0.4218 0.0965
O: 0.5782 0.0767 0.9035
O: 0.6929 0.5179 0.6231
O: 0.4821 0.3071 0.3769
O: 0.5113 0.6904 0.1271
O: 0.3096 0.4887 0.8729
O: 0.4327 0.9186 0.5962
O: 0.0814 0.5673 0.4038
O: 0.1915 0.0031 0.1298
O: 0.9969 0.8085 0.8702

***

Entry 3:
First-principles (PBE+U) data for a geometry-optimized MnO2 structure, as listed in Materials Project.

Properties
Energy (eV per atom): -7.0479
Spin magnetization (μB/atom): 0.9999
E_form (eV per atom): -1.709

a b c (Å): 5.8189 5.8178 17.5162
angles (deg): 59.98 60.24 59.97
Fractional positions:
Mn: 0.4942 0.4942 0.1681
Mn: 0.0019 0.5012 0.4989
Mn: 0.5017 0.5001 0.3323
Mn: 0.4940 0.0091 0.1674
Mn: 0.5009 0.5009 0.4990
Mn: 0.0049 0.4942 0.1688
Mn: 0.5024 0.5049 0.6638
Mn: 0.5009 0.0023 0.4988
Mn: 0.5023 0.5021 0.8311
Mn: 0.5020 0.0051 0.8301
Mn: 0.0016 0.5024 0.8310
Mn: 0.8816 0.8724 0.9551
O: 0.2383 0.2382 0.1041
O: 0.2384 0.7121 0.1034
O: 0.2611 0.2604 0.2393
O: 0.7107 0.2377 0.1043
O: 0.2638 0.2646 0.4220
O: 0.2977 0.7316 0.2460
O: 0.7363 0.7405 0.0947
O: 0.7330 0.2961 0.2461
O: 0.2651 0.7052 0.4216
O: 0.2668 0.2658 0.5673
O: 0.7059 0.2639 0.4224
O: 0.7329 0.7315 0.2461
O: 0.2672 0.2687 0.7525
O: 0.2960 0.7368 0.5773
O: 0.7348 0.7362 0.4313
O: 0.7354 0.2971 0.5779
O: 0.2674 0.2661 0.8997
O: 0.2666 0.7072 0.7531
O: 0.7067 0.2675 0.7532
O: 0.7366 0.7364 0.5774
O: 0.2821 0.7546 0.9024
O: 0.7578 0.2822 0.9011
O: 0.7340 0.7364 0.7647
O: 0.7556 0.7528 0.9026

***

Entry 4:
First-principles (PBE+U) data for a geometry-optimized LiMnF4 structure, as listed in Materials Project.

Properties
Energy (eV per atom): -5.4677
Spin magnetization (μB/atom): 0.6667
E_form (eV per atom): -2.932

a b c (Å): 6.0143 10.1793 10.1864
angles (deg): 85.03 107.17 107.10
Fractional positions:
Li: 0.8772 0.7492 0.0014
Li: 0.8731 0.2499 0.5019
Li: 0.3713 0.9999 0.2485
Li: 0.1217 0.5031 0.2501
Li: 0.8746 0.4956 0.7484
Li: 0.6272 0.0028 0.7497
Li: 0.1331 0.7537 0.4961
Li: 0.1218 0.2505 0.9966
Mn: 0.6370 0.2552 0.9993
Mn: 0.3651 0.5012 0.7462
Mn: 0.8814 0.0010 0.2466
Mn: 0.6234 0.7546 0.5011
Mn: 0.3795 0.2448 0.5001
Mn: 0.1167 0.9990 0.7555
Mn: 0.6356 0.4997 0.2553
Mn: 0.3633 0.7449 0.0002
F: 0.4932 0.3425 0.0973
F: 0.8619 0.6004 0.1654
F: 0.8673 0.4112 0.3528
F: 0.6514 0.1001 0.1603
F: 0.9005 0.0990 0.6651
F: 0.9561 0.3533 0.0872
F: 0.0496 0.1593 0.4022
F: 0.2395 0.3442 0.5883
F: 0.3088 0.1550 0.9134
F: 0.4919 0.8526 0.5908
F: 0.2338 0.8351 0.0987
F: 0.3062 0.6657 0.4009
F: 0.1030 0.0905 0.1493
F: 0.6077 0.4150 0.8455
F: 0.3446 0.0866 0.6557
F: 0.6065 0.5986 0.6589
F: 0.3946 0.4020 0.3426
F: 0.6544 0.9144 0.3471
F: 0.3943 0.5873 0.1567
F: 0.8948 0.9105 0.8531
F: 0.6958 0.3343 0.6001
F: 0.7628 0.1652 0.8985
F: 0.5124 0.1475 0.4107
F: 0.6893 0.8453 0.0894
F: 0.7633 0.6549 0.4135
F: 0.9531 0.8407 0.5987
F: 0.0459 0.6473 0.9093
F: 0.0988 0.9012 0.3364
F: 0.3498 0.9024 0.8431
F: 0.1332 0.5884 0.6475
F: 0.1406 0.4012 0.8373
F: 0.5123 0.6589 0.9040

***

Entry 5:
First-principles (PBE+U) data for a geometry-optimized Li2CoCSO7 structure, as listed in Materials Project.

Properties
Energy (eV per atom): -6.3535
Spin magnetization (μB/atom): 0.0000
E_form (eV per atom): -1.980

a b c (Å): 6.4477 10.0263 8.7779
angles (deg): 85.31 90.13 89.96
Fractional positions:
Li: 0.5190 0.1084 0.1913
Li: 0.5176 0.6095 0.1903
Li: 0.9832 0.1079 0.1907
Li: 0.9813 0.6080 0.1911
Li: 0.4821 0.3921 0.8090
Li: 0.4812 0.8915 0.8087
Li: 0.0184 0.3915 0.8101
Li: 0.0179 0.8909 0.8096
Co: 0.7545 0.8864 0.3525
Co: 0.2525 0.6145 0.6485
Co: 0.7521 0.3857 0.3512
Co: 0.2505 0.1146 0.6488
C: 0.7492 0.3662 0.0659
C: 0.7493 0.8670 0.0659
C: 0.2498 0.1342 0.9339
C: 0.2488 0.6339 0.9340
S: 0.2502 0.3679 0.4158
S: 0.2512 0.8675 0.4164
S: 0.7493 0.1317 0.5834
S: 0.7500 0.6317 0.5845
O: 0.2502 0.1456 0.0773
O: 0.2481 0.6457 0.0775
O: 0.7501 0.3544 0.9225
O: 0.7492 0.8546 0.9226
O: 0.7521 0.4830 0.1234
O: 0.7551 0.9839 0.1227
O: 0.2515 0.0176 0.8759
O: 0.2533 0.5173 0.8765
O: 0.7457 0.2621 0.1679
O: 0.7431 0.7629 0.1681
O: 0.2476 0.2385 0.8321
O: 0.2453 0.7381 0.8322
O: 0.7480 0.0827 0.4273
O: 0.7508 0.5825 0.4287
O: 0.2503 0.4177 0.5711
O: 0.2506 0.9167 0.5722
O: 0.2486 0.2181 0.4339
O: 0.2498 0.7178 0.4334
O: 0.7503 0.2813 0.5659
O: 0.7466 0.7813 0.5672
O: 0.0664 0.4179 0.3256
O: 0.0671 0.9183 0.3269
O: 0.4347 0.4163 0.3268
O: 0.4357 0.9170 0.3284
O: 0.5659 0.0824 0.6732
O: 0.5668 0.5806 0.6738
O: 0.9340 0.0816 0.6719
O: 0.9351 0.5833 0.6737

***

Entry 6:
First-principles (PBE+U) data for a geometry-optimized Li3Fe2F7 structure, as listed in Materials Project.

Properties
Energy (eV per atom): -5.1773
Spin magnetization (μB/atom): 0.6667
E_form (eV per atom): -2.817

a b c (Å): 10.5115 7.6832 9.6000
angles (deg): 54.45 90.00 90.00
Fractional positions:
Li: 0.5874 0.7382 0.7207
Li: 0.2061 0.3595 0.0281
Li: 0.9130 0.1119 0.1998
Li: 0.0874 0.2618 0.7793
Li: 0.2939 0.3595 0.5281
Li: 0.4130 0.8881 0.3002
Li: 0.5870 0.1119 0.6998
Li: 0.7061 0.6405 0.4719
Li: 0.9126 0.7382 0.2207
Li: 0.0870 0.8881 0.8002
Li: 0.7939 0.6405 0.9719
Li: 0.4126 0.2618 0.2793
Fe: 0.2797 0.7137 0.6244
Fe: 0.9147 0.7614 0.6110
Fe: 0.4147 0.2386 0.8890
Fe: 0.7797 0.2863 0.8756
Fe: 0.2203 0.7137 0.1244
Fe: 0.5853 0.7614 0.1110
Fe: 0.0853 0.2386 0.3890
Fe: 0.7203 0.2863 0.3756
F: 0.4490 0.5689 0.7491
F: 0.3773 0.2223 0.1016
F: 0.7238 0.6045 0.6891
F: 0.7970 0.3490 0.0609
F: 0.8886 0.1243 0.4162
F: 0.0859 0.1979 0.2021
F: 0.3763 0.9795 0.4471
F: 0.2238 0.3955 0.8109
F: 0.9490 0.4311 0.7509
F: 0.1227 0.2223 0.6016
F: 0.8763 0.0205 0.0529
F: 0.7030 0.3490 0.5609
F: 0.5859 0.8021 0.2979
F: 0.6114 0.1243 0.9162
F: 0.3886 0.8757 0.0838
F: 0.4141 0.1979 0.7021
F: 0.2970 0.6510 0.4391
F: 0.1237 0.9795 0.9471
F: 0.8773 0.7777 0.3984
F: 0.0510 0.5689 0.2491
F: 0.7762 0.6045 0.1891
F: 0.6237 0.0205 0.5529
F: 0.9141 0.8021 0.7979
F: 0.1114 0.8757 0.5838
F: 0.2030 0.6510 0.9391
F: 0.2762 0.3955 0.3109
F: 0.6227 0.7777 0.8984
F: 0.5510 0.4311 0.2509

***

Entry 7:
First-principles (PBE+U) data for a geometry-optimized V2NiP2O10 structure, as listed in Materials Project.

Properties
Energy (eV per atom): -7.2311
Spin magnetization (μB/atom): 0.2667
E_form (eV per atom): -2.468

a b c (Å): 7.4176 6.4226 7.3903
angles (deg): 89.88 90.00 90.00
Fractional positions:
V: 0.2793 0.7450 0.8342
V: 0.7793 0.2550 0.6658
V: 0.7207 0.2550 0.1658
V: 0.2207 0.7450 0.3342
Ni: 0.0000 0.0000 0.0000
Ni: 0.5000 0.0000 0.5000
P: 0.6220 0.7497 0.1277
P: 0.8780 0.7497 0.6277
P: 0.1220 0.2503 0.3723
P: 0.3780 0.2503 0.8723
O: 0.0050 0.7790 0.7946
O: 0.6642 0.2272 0.3905
O: 0.7458 0.9381 0.6240
O: 0.2542 0.0619 0.3760
O: 0.7542 0.9381 0.1240
O: 0.5050 0.2210 0.7054
O: 0.9950 0.2210 0.2054
O: 0.7396 0.5541 0.1463
O: 0.0096 0.2545 0.5464
O: 0.7604 0.5541 0.6463
O: 0.4904 0.2545 0.0464
O: 0.9904 0.7455 0.4536
O: 0.3358 0.7728 0.6095
O: 0.2604 0.4459 0.8537
O: 0.8358 0.2272 0.8905
O: 0.1642 0.7728 0.1095
O: 0.5096 0.7455 0.9536
O: 0.2458 0.0619 0.8760
O: 0.4950 0.7790 0.2946
O: 0.2396 0.4459 0.3537

***

Entry 8:
First-principles (PBE+U) data for a geometry-optimized Li9Mn2Co5O16 structure, as listed in Materials Project.

Properties
Energy (eV per atom): -5.7647
Spin magnetization (μB/atom): 0.3125
E_form (eV per atom): -1.774

a b c (Å): 2.8915 10.2972 10.3311
angles (deg): 69.94 90.00 90.00
Fractional positions:
Li: 0.5000 0.0029 0.7281
Li: 0.5000 0.9971 0.2719
Li: 0.0000 0.7534 0.7483
Li: 0.0000 0.7499 0.2612
Li: 0.5000 0.5043 0.7388
Li: 0.5000 0.4957 0.2612
Li: 0.0000 0.2501 0.7388
Li: 0.0000 0.2466 0.2517
Li: 0.0000 0.0000 0.5000
Mn: 0.0000 0.0000 0.0000
Mn: 0.0000 0.5000 0.0000
Co: 0.5000 0.7497 0.0059
Co: 0.5000 0.7649 0.5080
Co: 0.0000 0.5000 0.5000
Co: 0.5000 0.2503 0.9941
Co: 0.5000 0.2351 0.4920
O: 0.5000 0.1047 0.8863
O: 0.5000 0.1391 0.3746
O: 0.0000 0.8690 0.8991
O: 0.0000 0.8642 0.3815
O: 0.5000 0.6138 0.8867
O: 0.5000 0.6084 0.3934
O: 0.0000 0.3581 0.8820
O: 0.0000 0.3807 0.3948
O: 0.5000 0.8609 0.6254
O: 0.5000 0.8953 0.1137
O: 0.0000 0.6193 0.6052
O: 0.0000 0.6419 0.1180
O: 0.5000 0.3916 0.6066
O: 0.5000 0.3862 0.1133
O: 0.0000 0.1358 0.6185
O: 0.0000 0.1310 0.1009

***

Q: What is the energy in the fifth record?
A: -6.3535 eV per atom